Here is a relaxed K3Nd3Br10 crystal from Materials Project. Energies are from PBE.

Properties
Raw total energy in eV/atom: -3.85
Density in g/cm3: 4.31
Energy of formation in eV per atom: -2.06
Calculated volume in Å³/atom: 32.48
Energy with MP2020 corrections in eV/cell: -133.86

Unit cell a=8.3441 b=13.6087 c=9.1683 alpha=90.00 beta=93.29 gamma=90.00
Space group P2_1 (No. 4)
Symmetry-distinct sites (fractional):
K 0.1996 0.0000 0.2494 [2 per cell]
K 0.2055 0.9901 0.7459 [2 per cell]
K 0.2914 0.3410 0.2571 [2 per cell]
Nd 0.1892 0.6720 0.5026 [2 per cell]
Nd 0.3045 0.3407 0.7613 [2 per cell]
Nd 0.3363 0.6734 0.0142 [2 per cell]
Br 0.0824 0.4570 0.5236 [2 per cell]
Br 0.0827 0.7561 0.2051 [2 per cell]
Br 0.0873 0.7532 0.7865 [2 per cell]
Br 0.1291 0.4794 0.9790 [2 per cell]
Br 0.1890 0.1839 0.5300 [2 per cell]
Br 0.3009 0.1759 0.9831 [2 per cell]
Br 0.4079 0.5711 0.2998 [2 per cell]
Br 0.4152 0.5691 0.7278 [2 per cell]
Br 0.4273 0.8400 0.4667 [2 per cell]
Br 0.4322 0.8855 0.0059 [2 per cell]